Record 1
A relaxed structure of Cs2MoSe4. Source: the Materials Project database, functional r2SCAN.

Summary:
- energy relative to the elements (meV/atom) = -1053
- raw total energy (eV per cell) = -563.633
- space-group type = Pnma

a = 10.5246 Å, b = 7.5453 Å, c = 13.2925 Å
α = 90.00°, β = 90.00°, γ = 90.00°
Sites, in units of the cell vectors:
Cs1 0.0428 0.2500 0.1623
Cs2 0.1618 0.7500 0.3921
Cs3 0.3382 0.2500 0.8921
Cs4 0.4572 0.7500 0.6623
Cs5 0.5428 0.2500 0.3377
Cs6 0.6618 0.7500 0.1079
Cs7 0.8382 0.2500 0.6079
Cs8 0.9572 0.7500 0.8377
Mo1 0.2471 0.2500 0.5760
Mo2 0.2529 0.7500 0.0760
Mo3 0.7471 0.2500 0.9240
Mo4 0.7529 0.7500 0.4240
Se1 0.0364 0.7500 0.1108
Se2 0.1535 0.0013 0.6451
Se3 0.1535 0.4987 0.6451
Se4 0.2134 0.2500 0.4040
Se5 0.2866 0.7500 0.9040
Se6 0.3465 0.5013 0.1451
Se7 0.3465 0.9987 0.1451
Se8 0.4636 0.2500 0.6108
Se9 0.5364 0.7500 0.3892
Se10 0.6535 0.0013 0.8549
Se11 0.6535 0.4987 0.8549
Se12 0.7134 0.2500 0.0960
Se13 0.7866 0.7500 0.5960
Se14 0.8465 0.5013 0.3549
Se15 0.8465 0.9987 0.3549
Se16 0.9636 0.2500 0.8892

***

Record 2
A relaxed structure of Hg4Pt. Source: the Materials Project database, functional r2SCAN.

Summary:
- energy relative to the elements (meV/atom) = -123
- raw total energy (eV per cell) = -249.574
- space-group type = Im-3m

a = 5.4594 Å, b = 5.4594 Å, c = 5.4594 Å
α = 109.47°, β = 109.47°, γ = 109.47°
Sites, in units of the cell vectors:
Hg1 0.0000 0.0000 0.5000
Hg2 0.0000 0.5000 0.0000
Hg3 0.5000 0.0000 0.0000
Hg4 0.5000 0.5000 0.5000
Pt1 0.0000 0.0000 0.0000

***

Record 3
A relaxed structure of CsPO3. Source: the Materials Project database, functional r2SCAN.

Summary:
- energy relative to the elements (meV/atom) = -2457
- raw total energy (eV per cell) = -257.258
- space-group type = Pnma

a = 4.5814 Å, b = 6.5027 Å, c = 13.3211 Å
α = 90.00°, β = 90.00°, γ = 90.00°
Sites, in units of the cell vectors:
Cs1 0.2343 0.2500 0.0966
Cs2 0.2657 0.7500 0.5966
Cs3 0.7343 0.2500 0.4034
Cs4 0.7657 0.7500 0.9034
P1 0.1871 0.7500 0.3216
P2 0.3129 0.2500 0.8216
P3 0.6871 0.7500 0.1784
P4 0.8129 0.2500 0.6784
O1 0.1496 0.2500 0.7148
O2 0.2412 0.5529 0.3748
O3 0.2412 0.9471 0.3748
O4 0.2588 0.0529 0.8748
O5 0.2588 0.4471 0.8748
O6 0.3504 0.7500 0.2148
O7 0.6496 0.2500 0.7852
O8 0.7412 0.5529 0.1252
O9 0.7412 0.9471 0.1252
O10 0.7588 0.0529 0.6252
O11 0.7588 0.4471 0.6252
O12 0.8504 0.7500 0.2852

***

Record 4
A relaxed structure of Na6Si2Se7. Source: the Materials Project database, functional r2SCAN.

Summary:
- energy relative to the elements (meV/atom) = -1096
- raw total energy (eV per cell) = -311.121
- space-group type = C2/c

a = 7.1562 Å, b = 7.1562 Å, c = 15.7209 Å
α = 99.77°, β = 99.77°, γ = 98.04°
Sites, in units of the cell vectors:
Na1 0.0000 0.0000 0.0000
Na2 0.0000 0.0000 0.5000
Na3 0.0096 0.4517 0.8596
Na4 0.0792 0.9208 0.7500
Na5 0.2343 0.5277 0.4271
Na6 0.4517 0.0096 0.3596
Na7 0.4723 0.7657 0.0729
Na8 0.5277 0.2343 0.9271
Na9 0.5483 0.9904 0.6404
Na10 0.7657 0.4723 0.5729
Na11 0.9208 0.0792 0.2500
Na12 0.9904 0.5483 0.1404
Si1 0.2632 0.4237 0.6393
Si2 0.4237 0.2632 0.1393
Si3 0.5763 0.7368 0.8607
Si4 0.7368 0.5763 0.3607
Se1 0.0090 0.2560 0.6782
Se2 0.1904 0.7019 0.6058
Se3 0.2406 0.3693 0.0304
Se4 0.2560 0.0090 0.1782
Se5 0.2981 0.8096 0.8942
Se6 0.3693 0.2406 0.5304
Se7 0.4638 0.5362 0.2500
Se8 0.5362 0.4638 0.7500
Se9 0.6307 0.7594 0.4696
Se10 0.7019 0.1904 0.1058
Se11 0.7440 0.9910 0.8218
Se12 0.7594 0.6307 0.9696
Se13 0.8096 0.2981 0.3942
Se14 0.9910 0.7440 0.3218

***

Record 5
A relaxed structure of Cs2WO4. Source: the Materials Project database, functional r2SCAN.

Summary:
- energy relative to the elements (meV/atom) = -2345
- raw total energy (eV per cell) = -283.783
- space-group type = C2/m

a = 7.5013 Å, b = 7.5013 Å, c = 8.2962 Å
α = 113.43°, β = 113.43°, γ = 51.66°
Sites, in units of the cell vectors:
Cs1 0.0131 0.0131 0.2406
Cs2 0.3446 0.3446 0.2577
Cs3 0.6554 0.6554 0.7423
Cs4 0.9869 0.9869 0.7594
W1 0.3261 0.3261 0.7796
W2 0.6739 0.6739 0.2204
O1 0.1331 0.5818 0.9174
O2 0.1806 0.1806 0.6339
O3 0.4054 0.4054 0.6539
O4 0.4182 0.8669 0.0826
O5 0.5818 0.1331 0.9174
O6 0.5946 0.5946 0.3461
O7 0.8194 0.8194 0.3661
O8 0.8669 0.4182 0.0826

***

Record 6
A relaxed structure of CeSn6Ru4. Source: the Materials Project database, functional r2SCAN.

Summary:
- energy relative to the elements (meV/atom) = -356
- raw total energy (eV per cell) = -284.932
- space-group type = I-42m

a = 6.9177 Å, b = 6.9177 Å, c = 6.9177 Å
α = 120.18°, β = 120.18°, γ = 89.68°
Sites, in units of the cell vectors:
Ce1 0.0000 0.0000 0.0000
Sn1 0.0000 0.5000 0.5000
Sn2 0.1207 0.1207 0.6501
Sn3 0.4705 0.4705 0.3499
Sn4 0.5000 0.0000 0.5000
Sn5 0.5295 0.8793 0.0000
Sn6 0.8793 0.5295 0.0000
Ru1 0.2472 0.5975 0.0000
Ru2 0.4025 0.4025 0.6497
Ru3 0.5975 0.2472 0.0000
Ru4 0.7528 0.7528 0.3503

***

Record 7
A relaxed structure of LaOF. Source: the Materials Project database, functional r2SCAN.

Summary:
- energy relative to the elements (meV/atom) = -4186
- raw total energy (eV per cell) = -102.800
- space-group type = P4/nmm

a = 4.0692 Å, b = 4.0692 Å, c = 5.8139 Å
α = 90.00°, β = 90.00°, γ = 90.00°
Sites, in units of the cell vectors:
La1 0.2500 0.2500 0.2157
La2 0.7500 0.7500 0.7843
O1 0.2500 0.7500 0.0000
O2 0.7500 0.2500 0.0000
F1 0.2500 0.7500 0.5000
F2 0.7500 0.2500 0.5000

***

Record 8
A relaxed structure of Pr5C2Br8. Source: the Materials Project database, functional r2SCAN.

Summary:
- energy relative to the elements (meV/atom) = -1785
- raw total energy (eV per cell) = -1199.047
- space-group type = P-1

a = 9.2165 Å, b = 12.3678 Å, c = 16.9587 Å
α = 100.38°, β = 90.11°, γ = 95.66°
Sites, in units of the cell vectors:
Pr1 0.0523 0.2401 0.2541
Pr2 0.0857 0.9326 0.1167
Pr3 0.1194 0.1488 0.4648
Pr4 0.1610 0.0136 0.6999
Pr5 0.1835 0.8716 0.3234
Pr6 0.2397 0.4953 0.1980
Pr7 0.3223 0.2305 0.0574
Pr8 0.3341 0.4350 0.4082
Pr9 0.3711 0.1303 0.2737
Pr10 0.4141 0.6151 0.7750
Pr11 0.5859 0.3849 0.2250
Pr12 0.6289 0.8697 0.7263
Pr13 0.6659 0.5650 0.5918
Pr14 0.6777 0.7695 0.9426
Pr15 0.7603 0.5047 0.8020
Pr16 0.8165 0.1284 0.6766
Pr17 0.8390 0.9864 0.3001
Pr18 0.8806 0.8512 0.5352
Pr19 0.9143 0.0674 0.8833
Pr20 0.9477 0.7599 0.7459
C1 0.1009 0.0227 0.2487
C2 0.1077 0.0721 0.3301
C3 0.3176 0.2963 0.1945
C4 0.3217 0.3460 0.2761
C5 0.6783 0.6540 0.7239
C6 0.6824 0.7037 0.8055
C7 0.8923 0.9279 0.6699
C8 0.8991 0.9773 0.7513
Br1 0.0053 0.8561 0.9293
Br2 0.0190 0.3561 0.4307
Br3 0.0747 0.5533 0.7816
Br4 0.1201 0.2274 0.6539
Br5 0.1644 0.7278 0.1615
Br6 0.2007 0.9338 0.5129
Br7 0.2092 0.4271 0.0225
Br8 0.2327 0.1254 0.8695
Br9 0.2480 0.6425 0.3664
Br10 0.2864 0.8129 0.7309
Br11 0.3487 0.5020 0.5998
Br12 0.3675 0.7079 0.9460
Br13 0.3974 0.0099 0.0966
Br14 0.4320 0.2252 0.4554
Br15 0.4617 0.4035 0.8133
Br16 0.4991 0.9272 0.3191
Br17 0.5009 0.0728 0.6809
Br18 0.5383 0.5965 0.1867
Br19 0.5680 0.7748 0.5446
Br20 0.6026 0.9901 0.9034
Br21 0.6325 0.2921 0.0540
Br22 0.6513 0.4980 0.4002
Br23 0.7136 0.1871 0.2691
Br24 0.7520 0.3575 0.6336
Br25 0.7673 0.8746 0.1305
Br26 0.7908 0.5729 0.9775
Br27 0.7993 0.0662 0.4871
Br28 0.8356 0.2722 0.8385
Br29 0.8799 0.7726 0.3461
Br30 0.9253 0.4467 0.2184
Br31 0.9810 0.6439 0.5693
Br32 0.9947 0.1439 0.0707

***

Record 9
A relaxed structure of HoLu3. Source: the Materials Project database, functional r2SCAN.

Summary:
- energy relative to the elements (meV/atom) = 1
- raw total energy (eV per cell) = -294.231
- space-group type = P6_3/mmc

a = 7.0870 Å, b = 7.0870 Å, c = 5.4681 Å
α = 90.00°, β = 90.00°, γ = 120.00°
Sites, in units of the cell vectors:
Ho1 0.3333 0.6667 0.2500
Ho2 0.6667 0.3333 0.7500
Lu1 0.1662 0.3324 0.7500
Lu2 0.1662 0.8338 0.7500
Lu3 0.3324 0.1662 0.2500
Lu4 0.6676 0.8338 0.7500
Lu5 0.8338 0.1662 0.2500
Lu6 0.8338 0.6676 0.2500

***

Record 10
A relaxed structure of VRu. Source: the Materials Project database, functional r2SCAN.

Summary:
- energy relative to the elements (meV/atom) = -307
- raw total energy (eV per cell) = -40.128
- space-group type = Pm-3m

a = 3.0028 Å, b = 3.0028 Å, c = 3.0028 Å
α = 90.00°, β = 90.00°, γ = 90.00°
Sites, in units of the cell vectors:
V1 0.0000 0.0000 0.0000
Ru1 0.5000 0.5000 0.5000

***

Record 11
A relaxed structure of HfTlCdF7. Source: the Materials Project database, functional r2SCAN.

Summary:
- energy relative to the elements (meV/atom) = -3213
- raw total energy (eV per cell) = -344.905
- space-group type = Cmcm

a = 6.4819 Å, b = 6.4819 Å, c = 8.4709 Å
α = 90.00°, β = 90.00°, γ = 116.62°
Sites, in units of the cell vectors:
Hf1 0.1931 0.8069 0.7500
Hf2 0.8069 0.1931 0.2500
Tl1 0.5000 0.5000 0.0000
Tl2 0.5000 0.5000 0.5000
Cd1 0.1917 0.8083 0.2500
Cd2 0.8083 0.1917 0.7500
F1 0.0107 0.9893 0.7500
F2 0.1519 0.4345 0.2500
F3 0.1727 0.4758 0.7500
F4 0.2029 0.7971 0.5151
F5 0.2029 0.7971 0.9849
F6 0.4345 0.1519 0.7500
F7 0.4758 0.1727 0.2500
F8 0.5242 0.8273 0.7500
F9 0.5655 0.8481 0.2500
F10 0.7971 0.2029 0.0151
F11 0.7971 0.2029 0.4849
F12 0.8273 0.5242 0.2500
F13 0.8481 0.5655 0.7500
F14 0.9893 0.0107 0.2500

***

Record 12
A relaxed structure of Au. Source: the Materials Project database, functional r2SCAN.

Summary:
- energy relative to the elements (meV/atom) = 0
- raw total energy (eV per cell) = -50.585
- space-group type = Fm-3m

a = 2.9495 Å, b = 2.9495 Å, c = 2.9495 Å
α = 60.00°, β = 60.00°, γ = 60.00°
Sites, in units of the cell vectors:
Au1 0.0000 0.0000 0.0000